Density functional theory data (PBE with a Hubbard U) for Li3V2P3O12 after structural relaxation.

Formation energy: -53.71 eV per formula unit
Total energy after the MP2020 corrections: -7.661 eV per atom
Offset from the most stable computed form: 42 meV/atom

Lattice parameters (Å, degrees): 8.6042 8.6042 6.3862 74.03 74.03 93.77
With the nearest neighbours (Å) after each atom.
Fractional positions:
1 O 0.6589 0.9885 0.9108  1 P 1.56
2 O 0.2621 0.5389 0.7325  1 P 1.56
3 P 0.3390 0.1374 0.8625  4 O 1.52-1.58
4 O 0.1552 0.1575 0.8904  1 P 1.57
5 Li 0.5000 0.5000 0.5000  4 O 2.12-2.28
6 P 0.8626 0.6610 0.6375  4 O 1.52-1.58
7 O 0.4553 0.2962 0.7974  1 P 1.52
8 O 0.0115 0.3411 0.5892  1 P 1.56
9 O 0.8448 0.8425 0.1096  1 P 1.57
10 O 0.2556 0.8300 0.5334  1 P 1.55
11 V 0.6202 0.9427 0.6426  6 O 1.97-2.15
12 O 0.8425 0.8448 0.6096  1 P 1.57
13 O 0.7379 0.4611 0.2675  1 P 1.56
14 P 0.2845 0.7155 0.7500  4 O 1.55-1.56
15 V 0.3798 0.0573 0.3574  6 O 1.97-2.15
16 P 0.7155 0.2845 0.2500  4 O 1.55-1.56
17 P 0.6610 0.8626 0.1375  4 O 1.52-1.58
18 P 0.1374 0.3390 0.3625  4 O 1.52-1.58
19 O 0.2962 0.4553 0.2974  1 P 1.52
20 O 0.1575 0.1552 0.3904  1 P 1.57
21 O 0.5447 0.7038 0.2026  1 P 1.52
22 O 0.4611 0.7379 0.7675  1 P 1.56
23 O 0.8300 0.2556 0.0334  1 P 1.55
24 Li 0.0093 0.9907 0.7500  4 O 2.29-2.35
25 O 0.0514 0.4000 0.1714  1 P 1.58
26 Li 0.2861 0.7139 0.2500  4 O 2.17-2.26
27 O 0.7444 0.1700 0.4666  1 P 1.55
28 Li 0.5000 0.5000 0.0000  4 O 2.12-2.28
29 O 0.1700 0.7444 0.9666  1 P 1.55
30 Li 0.9907 0.0093 0.2500  4 O 2.29-2.35
31 Li 0.7139 0.2861 0.7500  4 O 2.17-2.26
32 O 0.9885 0.6589 0.4108  1 P 1.56
33 O 0.3411 0.0115 0.0892  1 P 1.56
34 O 0.9486 0.6000 0.8286  1 P 1.58
35 V 0.9427 0.6202 0.1426  6 O 1.97-2.15
36 O 0.6000 0.9486 0.3286  1 P 1.58
37 O 0.4000 0.0514 0.6714  1 P 1.58
38 V 0.0573 0.3798 0.8574  6 O 1.97-2.15
39 O 0.7038 0.5447 0.7026  1 P 1.52
40 O 0.5389 0.2621 0.2325  1 P 1.56